No. 1
Entry from Materials Project: a geometry-optimized Na6Y4Sc4Si3S9O48 structure (GGA-PBE).

Values from the calculation:
Formation energy = -2.73 eV per atom
DFT total energy = -1558.10 eV/cell

Unit cell a=9.061 b=15.805 c=23.804 alpha=89.96 beta=89.86 gamma=89.97
Atoms (fractional coordinates):
Na1 0.000 0.000 0.000
Na2 0.000 0.002 0.506
Na3 0.000 0.681 0.329
Na4 0.134 0.512 0.248
Na5 0.135 0.168 0.589
Na6 0.352 0.670 0.085
Na7 0.353 0.010 0.758
Na8 0.481 0.170 0.837
Na9 0.486 0.502 0.004
Na10 0.495 0.838 0.675
Na11 0.499 0.849 0.164
Na12 0.501 0.502 0.508
Na13 0.509 0.172 0.328
Na14 0.637 0.668 0.589
Na15 0.844 0.167 0.084
Na16 0.976 0.675 0.831
Na17 0.989 0.346 0.671
Na18 0.991 0.339 0.166
Y1 0.005 0.012 0.855
Y2 0.487 0.171 0.486
Y3 0.488 0.513 0.352
Y4 0.489 0.836 0.311
Y5 0.492 0.159 0.982
Y6 0.500 0.510 0.852
Y7 0.501 0.167 0.185
Y8 0.983 0.667 0.687
Y9 0.985 0.009 0.352
Y10 0.989 0.668 0.486
Y11 0.997 0.335 0.812
Y12 0.997 0.672 0.985
Sc1 0.001 0.010 0.653
Sc2 0.001 0.350 0.022
Sc3 0.001 0.669 0.183
Sc4 0.483 0.851 0.523
Sc5 0.485 0.168 0.685
Sc6 0.485 0.510 0.150
Sc7 0.492 0.854 0.018
Sc8 0.497 0.837 0.818
Sc9 0.507 0.514 0.655
Sc10 0.979 0.013 0.153
Sc11 0.985 0.330 0.314
Sc12 0.986 0.347 0.522
Si1 0.142 0.524 0.087
Si2 0.144 0.156 0.747
Si3 0.339 0.655 0.247
Si4 0.340 0.025 0.587
Si5 0.347 0.984 0.914
Si6 0.636 0.661 0.751
Si7 0.648 0.019 0.085
Si8 0.837 0.521 0.584
Si9 0.844 0.157 0.251
S1 0.136 0.198 0.419
S2 0.136 0.482 0.417
S3 0.140 0.822 0.087
S4 0.142 0.861 0.751
S5 0.188 0.175 0.085
S6 0.202 0.840 0.421
S7 0.204 0.507 0.750
S8 0.282 0.008 0.250
S9 0.284 0.342 0.921
S10 0.296 0.674 0.584
S11 0.342 0.362 0.252
S12 0.344 0.322 0.586
S13 0.349 0.696 0.920
S14 0.634 0.358 0.749
S15 0.638 0.696 0.421
S16 0.638 0.984 0.420
S17 0.643 0.325 0.083
S18 0.696 0.673 0.087
S19 0.698 0.007 0.749
S20 0.707 0.340 0.418
S21 0.779 0.839 0.918
S22 0.790 0.173 0.586
S23 0.790 0.507 0.251
S24 0.841 0.825 0.583
S25 0.847 0.198 0.922
S26 0.847 0.484 0.920
S27 0.851 0.858 0.249
O1 0.067 0.430 0.078
O2 0.069 0.249 0.750
O3 0.071 0.112 0.415
O4 0.071 0.568 0.144
O5 0.071 0.569 0.422
O6 0.073 0.786 0.035
O7 0.075 0.109 0.690
O8 0.075 0.898 0.802
O9 0.080 0.238 0.471
O10 0.080 0.443 0.365
O11 0.083 0.248 0.077
O12 0.083 0.907 0.096
O13 0.084 0.775 0.743
O14 0.096 0.097 0.091
O15 0.098 0.249 0.369
O16 0.098 0.432 0.467
O17 0.104 0.432 0.753
O18 0.106 0.764 0.425
O19 0.108 0.765 0.135
O20 0.108 0.915 0.701
O21 0.108 0.918 0.418
O22 0.114 0.585 0.747
O23 0.121 0.095 0.801
O24 0.121 0.588 0.034
O25 0.158 0.661 0.242
O26 0.159 0.016 0.593
O27 0.167 0.991 0.917
O28 0.177 0.361 0.259
O29 0.178 0.323 0.578
O30 0.184 0.689 0.922
O31 0.185 0.349 0.970
O32 0.188 0.997 0.201
O33 0.194 0.013 0.303
O34 0.195 0.333 0.869
O35 0.203 0.664 0.533
O36 0.206 0.691 0.634
O37 0.277 0.191 0.136
O38 0.281 0.165 0.035
O39 0.291 0.832 0.369
O40 0.292 0.512 0.802
O41 0.298 0.497 0.700
O42 0.298 0.848 0.470
O43 0.300 0.191 0.421
O44 0.300 0.490 0.416
O45 0.305 0.821 0.081
O46 0.306 0.859 0.755
O47 0.324 0.516 0.094
O48 0.325 0.162 0.741
O49 0.362 0.087 0.533
O50 0.362 0.594 0.303
O51 0.372 0.086 0.248
O52 0.372 0.266 0.634
O53 0.372 0.415 0.202
O54 0.375 0.420 0.918
O55 0.380 0.266 0.926
O56 0.382 0.933 0.254
O57 0.387 0.746 0.870
O58 0.389 0.597 0.590
O59 0.392 0.929 0.970
O60 0.398 0.275 0.246
O61 0.400 0.747 0.576
O62 0.401 0.408 0.594
O63 0.405 0.734 0.973
O64 0.408 0.936 0.857
O65 0.409 0.399 0.303
O66 0.409 0.606 0.193
O67 0.412 0.286 0.534
O68 0.412 0.609 0.916
O69 0.415 0.070 0.642
O70 0.415 0.747 0.252
O71 0.416 0.931 0.578
O72 0.423 0.078 0.916
O73 0.555 0.753 0.757
O74 0.572 0.063 0.140
O75 0.572 0.394 0.801
O76 0.572 0.610 0.417
O77 0.573 0.273 0.740
O78 0.573 0.615 0.693
O79 0.574 0.071 0.424
O80 0.574 0.287 0.033
O81 0.575 0.926 0.077
O82 0.581 0.945 0.368
O83 0.582 0.737 0.472
O84 0.585 0.411 0.093
O85 0.593 0.745 0.081
O86 0.597 0.933 0.754
O87 0.599 0.934 0.470
O88 0.601 0.413 0.700
O89 0.603 0.085 0.743
O90 0.603 0.599 0.805
O91 0.603 0.745 0.370
O92 0.604 0.594 0.093
O93 0.612 0.264 0.422
O94 0.612 0.417 0.414
O95 0.619 0.271 0.134
O96 0.632 0.086 0.033
O97 0.656 0.515 0.592
O98 0.667 0.172 0.249
O99 0.677 0.827 0.575
O100 0.683 0.491 0.919
O101 0.684 0.193 0.924
O102 0.688 0.828 0.867
O103 0.688 0.845 0.969
O104 0.688 0.853 0.254
O105 0.696 0.493 0.201
O106 0.697 0.188 0.635
O107 0.700 0.164 0.534
O108 0.700 0.517 0.302
O109 0.785 0.017 0.801
O110 0.786 0.662 0.035
O111 0.791 0.685 0.136
O112 0.794 0.996 0.699
O113 0.798 0.353 0.754
O114 0.800 0.333 0.367
O115 0.800 0.348 0.469
O116 0.802 0.991 0.419
O117 0.803 0.688 0.423
O118 0.808 0.328 0.076
O119 0.815 0.672 0.748
O120 0.829 0.014 0.094
O121 0.857 0.584 0.530
O122 0.865 0.770 0.633
O123 0.870 0.916 0.914
O124 0.877 0.763 0.922
O125 0.879 0.100 0.306
O126 0.883 0.584 0.245
O127 0.884 0.096 0.591
O128 0.884 0.247 0.870
O129 0.885 0.912 0.200
O130 0.886 0.434 0.970
O131 0.893 0.433 0.258
O132 0.894 0.247 0.578
O133 0.900 0.910 0.591
O134 0.904 0.446 0.868
O135 0.906 0.240 0.973
O136 0.911 0.112 0.918
O137 0.911 0.427 0.574
O138 0.911 0.571 0.925
O139 0.911 0.786 0.533
O140 0.912 0.114 0.194
O141 0.913 0.772 0.242
O142 0.913 0.894 0.302
O143 0.915 0.563 0.638
O144 0.927 0.251 0.258



No. 2
Entry from Materials Project: a geometry-optimized Bi4O3F7 structure (GGA-PBE).

Values from the calculation:
Formation energy = -2.30 eV per atom
DFT total energy = -70.72 eV/cell

Unit cell a=5.764 b=3.946 c=8.460 alpha=90.00 beta=91.13 gamma=90.00
Atoms (fractional coordinates):
Bi1 0.000 0.000 0.000
Bi2 0.003 0.000 0.485
Bi3 0.430 0.500 0.249
Bi4 0.486 0.500 0.752
O1 0.182 0.000 0.246
O2 0.257 0.500 0.488
O3 0.259 0.500 0.005
F1 0.194 0.000 0.745
F2 0.589 0.000 0.914
F3 0.603 0.000 0.607
F4 0.652 0.000 0.262
F5 0.783 0.500 0.432
F6 0.802 0.500 0.096
F7 0.875 0.500 0.775



No. 3
Entry from Materials Project: a geometry-optimized Cd3H28C12N30O2 structure (GGA-PBE).

Values from the calculation:
Formation energy = -0.18 eV per atom
DFT total energy = -480.36 eV/cell

Unit cell a=9.874 b=9.874 c=8.449 alpha=106.22 beta=106.22 gamma=101.05
Atoms (fractional coordinates):
Cd1 0.000 0.000 0.000
Cd2 0.413 0.581 0.739
Cd3 0.419 0.587 0.261
H1 0.021 0.076 0.733
H2 0.050 0.132 0.359
H3 0.084 0.813 0.280
H4 0.087 0.421 0.696
H5 0.097 0.482 0.999
H6 0.187 0.916 0.720
H7 0.203 0.746 0.627
H8 0.248 0.282 0.198
H9 0.254 0.797 0.373
H10 0.265 0.079 0.482
H11 0.302 0.132 0.131
H12 0.322 0.259 0.509
H13 0.518 0.903 0.001
H14 0.579 0.913 0.304
H15 0.585 0.087 0.032
H16 0.588 0.366 0.129
H17 0.634 0.412 0.871
H18 0.635 0.095 0.442
H19 0.668 0.253 0.783
H20 0.718 0.752 0.802
H21 0.741 0.678 0.491
H22 0.747 0.332 0.217
H23 0.868 0.698 0.869
H24 0.868 0.950 0.641
H25 0.905 0.365 0.558
H26 0.913 0.415 0.968
H27 0.921 0.735 0.518
H28 0.924 0.979 0.267
C1 0.059 0.444 0.459
C2 0.062 0.446 0.211
C3 0.202 0.788 0.870
C4 0.212 0.798 0.130
C5 0.262 0.235 0.957
C6 0.272 0.228 0.710
C7 0.554 0.938 0.789
C8 0.556 0.941 0.541
C9 0.623 0.359 0.369
C10 0.641 0.377 0.631
C11 0.765 0.738 0.043
C12 0.772 0.728 0.290
N1 0.011 0.430 0.593
N2 0.020 0.425 0.035
N3 0.151 0.849 0.000
N4 0.160 0.806 0.708
N5 0.194 0.840 0.292
N6 0.202 0.491 0.482
N7 0.205 0.490 0.316
N8 0.220 0.139 0.790
N9 0.231 0.190 0.092
N10 0.252 0.182 0.531
N11 0.290 0.707 0.916
N12 0.293 0.710 0.084
N13 0.330 0.372 0.981
N14 0.336 0.369 0.818
N15 0.509 0.798 0.518
N16 0.510 0.795 0.684
N17 0.543 0.449 0.414
N18 0.551 0.457 0.586
N19 0.570 0.989 0.407
N20 0.575 0.980 0.965
N21 0.584 0.034 0.707
N22 0.628 0.670 0.019
N23 0.631 0.664 0.182
N24 0.637 0.313 0.205
N25 0.687 0.363 0.795
N26 0.688 0.312 0.500
N27 0.810 0.769 0.908
N28 0.818 0.748 0.469
N29 0.861 0.780 0.210
N30 0.966 0.416 0.293
O1 0.922 0.043 0.743
O2 0.957 0.078 0.257



No. 4
Entry from Materials Project: a geometry-optimized BaCaGdSbO6 structure (GGA-PBE).

Values from the calculation:
Energy above the lowest structure with this stoichiometry = 0.000 eV per atom
Formation energy = -3.02 eV per atom
DFT total energy = -311.74 eV/cell

Unit cell a=8.405 b=8.419 c=8.421 alpha=90.00 beta=90.00 gamma=90.00
Atoms (fractional coordinates):
Ba1 0.250 0.250 0.250
Ba2 0.250 0.750 0.750
Ba3 0.750 0.250 0.250
Ba4 0.750 0.750 0.750
Ca1 0.250 0.250 0.750
Ca2 0.250 0.750 0.250
Ca3 0.750 0.250 0.750
Ca4 0.750 0.750 0.250
Gd1 0.000 0.000 0.000
Gd2 0.000 0.500 0.500
Gd3 0.500 0.000 0.500
Gd4 0.500 0.500 0.000
Sb1 0.000 0.000 0.500
Sb2 0.000 0.500 0.000
Sb3 0.500 0.000 0.000
Sb4 0.500 0.500 0.500
O1 0.025 0.235 0.474
O2 0.025 0.265 0.026
O3 0.055 0.031 0.733
O4 0.055 0.469 0.767
O5 0.233 0.537 0.052
O6 0.233 0.963 0.448
O7 0.267 0.537 0.448
O8 0.267 0.963 0.052
O9 0.445 0.031 0.767
O10 0.445 0.469 0.733
O11 0.475 0.235 0.026
O12 0.475 0.265 0.474
O13 0.525 0.735 0.526
O14 0.525 0.765 0.974
O15 0.555 0.531 0.267
O16 0.555 0.969 0.233
O17 0.733 0.037 0.948
O18 0.733 0.463 0.552
O19 0.767 0.037 0.552
O20 0.767 0.463 0.948
O21 0.945 0.531 0.233
O22 0.945 0.969 0.267
O23 0.975 0.735 0.974
O24 0.975 0.765 0.526



No. 5
Entry from Materials Project: a geometry-optimized GdGa2Co structure (GGA-PBE).

Values from the calculation:
Formation energy = -0.54 eV per atom
DFT total energy = -58.80 eV/cell

Unit cell a=3.983 b=4.137 c=9.211 alpha=102.93 beta=90.02 gamma=90.00
Atoms (fractional coordinates):
Gd1 0.000 0.000 0.000
Gd2 0.000 0.287 0.564
Ga1 0.000 0.644 0.282
Ga2 0.499 0.435 0.865
Ga3 0.499 0.853 0.699
Ga4 0.500 0.147 0.282
Co1 0.499 0.573 0.132
Co2 0.500 0.722 0.432



No. 6
Entry from Materials Project: a geometry-optimized Zr3Rh structure (GGA-PBE).

Values from the calculation:
Formation energy = -0.42 eV per atom
DFT total energy = -138.70 eV/cell

Unit cell a=8.133 b=8.133 c=8.133 alpha=97.18 beta=97.18 gamma=138.60
Atoms (fractional coordinates):
Zr1 0.000 0.355 0.355
Zr2 0.000 0.645 0.645
Zr3 0.044 0.454 0.000
Zr4 0.137 0.137 0.808
Zr5 0.329 0.329 0.192
Zr6 0.355 0.000 0.355
Zr7 0.454 0.044 0.000
Zr8 0.546 0.546 0.591
Zr9 0.645 0.000 0.645
Zr10 0.671 0.863 0.000
Zr11 0.863 0.671 0.000
Zr12 0.956 0.956 0.409
Rh1 0.208 0.500 0.708
Rh2 0.500 0.208 0.708
Rh3 0.500 0.792 0.292
Rh4 0.792 0.500 0.292



> Which formula does entry 1 have?

Na6Y4Sc4Si3S9O48



> Which formula does entry 2 have?

Bi4O3F7



> The lowest formation energy belongs to which entry?

BaCaGdSbO6